Record 1
Ta2Nb3O12: optimized geometry, GGA-PBE.

Summary:
Its MP2020-corrected energy is -664.64 eV/cell. As for the crystal system: monoclinic. The calculated formation energy comes out at -3.10 eV per atom.

a = 9.791 Å, b = 9.669 Å, c = 16.567 Å
α = 54.58°, β = 90.00°, γ = 90.00°
Atoms (fractional coordinates):
O 0.570 0.789 0.023
O 0.193 0.302 0.838
O 0.150 0.500 0.912
O 0.383 0.696 0.932
Nb 0.250 0.525 0.500
O 0.695 0.020 0.835
Ta 0.971 0.634 0.118
O 0.430 0.211 0.977
Nb 0.382 0.965 0.644
O 0.491 0.935 0.747
O 0.835 0.682 0.406
O 0.630 0.417 0.436
O 0.850 0.500 0.088
O 0.650 0.500 0.588
O 0.089 0.783 0.134
O 0.985 0.568 0.748
O 0.411 0.783 0.634
Nb 0.619 0.751 0.144
Ta 0.471 0.366 0.382
O 0.070 0.211 0.477
Ta 0.029 0.366 0.882
O 0.883 0.304 0.568
Ta 0.966 0.864 0.382
O 0.665 0.682 0.906
O 0.485 0.432 0.752
Nb 0.882 0.035 0.856
O 0.432 0.164 0.523
Nb 0.250 0.525 0.000
Nb 0.119 0.249 0.356
O 0.568 0.836 0.477
O 0.870 0.417 0.936
O 0.350 0.500 0.412
Nb 0.750 0.475 0.000
O 0.589 0.217 0.366
Nb 0.618 0.035 0.356
O 0.195 0.980 0.665
O 0.068 0.164 0.023
O 0.009 0.935 0.247
O 0.307 0.302 0.338
Nb 0.750 0.475 0.500
O 0.417 0.049 0.865
Nb 0.881 0.751 0.644
O 0.805 0.020 0.335
O 0.370 0.583 0.564
O 0.807 0.698 0.162
O 0.932 0.836 0.977
O 0.515 0.568 0.248
O 0.335 0.318 0.094
O 0.991 0.065 0.753
O 0.930 0.789 0.523
Nb 0.118 0.965 0.144
O 0.583 0.951 0.135
O 0.693 0.698 0.662
O 0.130 0.583 0.064
O 0.083 0.049 0.365
O 0.305 0.980 0.165
Ta 0.529 0.634 0.618
Ta 0.034 0.136 0.618
O 0.015 0.432 0.252
Ta 0.534 0.864 0.882
O 0.617 0.304 0.068
O 0.917 0.951 0.635
Nb 0.381 0.249 0.856
O 0.117 0.696 0.432
O 0.509 0.065 0.253
O 0.911 0.217 0.866
O 0.165 0.318 0.594
Ta 0.466 0.136 0.118

---

Record 2
TaNbO5: optimized geometry, GGA-PBE.

Summary:
Its MP2020-corrected energy is -274.88 eV/cell. As for the crystal system: orthorhombic. The calculated formation energy comes out at -3.15 eV per atom.

a = 5.775 Å, b = 7.250 Å, c = 12.480 Å
α = 90.00°, β = 90.00°, γ = 90.00°
Atoms (fractional coordinates):
Ta 0.750 0.031 0.346
O 0.000 0.000 0.000
O 0.509 0.668 0.120
O 0.009 0.332 0.880
Nb 0.250 0.350 0.444
O 0.500 0.000 0.000
Nb 0.250 0.150 0.944
O 0.491 0.168 0.380
O 0.991 0.832 0.620
O 0.250 0.022 0.802
O 0.250 0.187 0.575
O 0.509 0.832 0.620
O 0.250 0.313 0.075
Ta 0.250 0.969 0.654
Ta 0.750 0.469 0.846
O 0.750 0.687 0.925
O 0.000 0.500 0.500
O 0.750 0.978 0.198
O 0.750 0.522 0.698
Nb 0.750 0.850 0.056
O 0.250 0.478 0.302
O 0.009 0.168 0.380
Nb 0.750 0.650 0.556
O 0.491 0.332 0.880
Ta 0.250 0.531 0.154
O 0.991 0.668 0.120
O 0.500 0.500 0.500
O 0.750 0.813 0.425

---

Record 3
TaNb2Zn2O8: optimized geometry, GGA-PBE.

Summary:
Its MP2020-corrected energy is -214.92 eV/cell. As for the crystal system: triclinic. The calculated formation energy comes out at -2.56 eV per atom.

a = 5.283 Å, b = 5.975 Å, c = 10.133 Å
α = 103.48°, β = 91.81°, γ = 91.93°
Atoms (fractional coordinates):
Ta 0.757 0.653 0.995
O 0.583 0.442 0.109
O 0.920 0.067 0.352
Zn 0.780 0.427 0.562
O 0.935 0.803 0.870
O 0.409 0.296 0.366
Nb 0.707 0.240 0.242
O 0.914 0.327 0.896
O 0.634 0.156 0.616
Zn 0.220 0.573 0.438
Nb 0.273 0.993 0.233
O 0.366 0.844 0.384
O 0.417 0.558 0.891
O 0.598 0.907 0.115
Nb 0.293 0.760 0.758
O 0.080 0.933 0.648
O 0.591 0.704 0.634
O 0.065 0.197 0.130
O 0.402 0.093 0.885
Zn 0.736 0.858 0.439
Nb 0.727 0.007 0.767
O 0.145 0.461 0.614
Zn 0.264 0.142 0.561
O 0.086 0.673 0.104
O 0.855 0.539 0.386
Ta 0.243 0.347 0.005

---

Record 4
Tb3NbO7: optimized geometry, GGA-PBE.

Summary:
Its MP2020-corrected energy is -199.64 eV/cell. As for the crystal system: orthorhombic. The calculated formation energy comes out at -3.74 eV per atom.

a = 6.514 Å, b = 6.514 Å, c = 7.554 Å
α = 90.00°, β = 90.00°, γ = 109.20°
Atoms (fractional coordinates):
O 0.673 0.919 0.472
O 0.919 0.673 0.528
Tb 0.536 0.000 0.754
Tb 0.000 0.536 0.246
Nb 0.997 0.997 0.000
Tb 0.000 0.464 0.746
O 0.930 0.070 0.750
O 0.315 0.061 0.538
O 0.081 0.327 0.028
O 0.371 0.629 0.750
O 0.939 0.685 0.962
O 0.685 0.939 0.038
Tb 0.464 0.000 0.254
Tb 0.526 0.526 0.500
O 0.327 0.081 0.972
O 0.070 0.930 0.250
O 0.362 0.638 0.250
Tb 0.474 0.474 0.000
O 0.629 0.371 0.250
Nb 0.003 0.003 0.500
O 0.638 0.362 0.750
O 0.061 0.315 0.462

---

Record 5
Tb3NbO7: optimized geometry, GGA-PBE.

Summary:
Its MP2020-corrected energy is -398.95 eV/cell. As for the crystal system: orthorhombic. The calculated formation energy comes out at -3.74 eV per atom.

a = 7.499 Å, b = 7.634 Å, c = 10.642 Å
α = 90.00°, β = 90.00°, γ = 90.00°
Atoms (fractional coordinates):
O 0.463 0.546 0.625
Tb 0.015 0.800 0.250
Nb 0.496 0.754 0.750
Tb 0.250 0.967 0.978
Tb 0.485 0.300 0.750
Nb 0.504 0.246 0.250
O 0.243 0.233 0.884
O 0.757 0.767 0.116
O 0.463 0.546 0.875
O 0.751 0.661 0.750
O 0.042 0.591 0.890
O 0.257 0.733 0.384
Tb 0.750 0.533 0.522
O 0.749 0.161 0.250
O 0.963 0.954 0.875
Tb 0.750 0.033 0.478
O 0.542 0.909 0.610
O 0.958 0.409 0.390
Tb 0.750 0.533 0.978
O 0.958 0.409 0.110
Nb 0.004 0.254 0.250
Tb 0.750 0.033 0.022
O 0.249 0.339 0.250
O 0.251 0.839 0.750
O 0.537 0.454 0.125
O 0.757 0.767 0.384
Tb 0.250 0.467 0.022
Tb 0.985 0.200 0.750
Tb 0.250 0.967 0.522
O 0.458 0.091 0.110
O 0.743 0.267 0.884
O 0.257 0.733 0.116
Tb 0.515 0.700 0.250
O 0.037 0.046 0.125
O 0.037 0.046 0.375
O 0.243 0.233 0.616
O 0.542 0.909 0.890
Nb 0.996 0.746 0.750
O 0.963 0.954 0.625
O 0.743 0.267 0.616
Tb 0.250 0.467 0.478
O 0.537 0.454 0.375
O 0.042 0.591 0.610
O 0.458 0.091 0.390

---

Record 6
TbNbO4: optimized geometry, GGA-PBE.

Summary:
Its MP2020-corrected energy is -222.55 eV/cell. As for the crystal system: monoclinic. The calculated formation energy comes out at -3.52 eV per atom.

a = 5.387 Å, b = 7.612 Å, c = 7.673 Å
α = 81.57°, β = 90.00°, γ = 90.00°
Atoms (fractional coordinates):
O 0.491 0.390 0.672
Nb 0.232 0.165 0.189
O 0.000 0.328 0.620
O 0.372 0.172 0.438
O 0.897 0.066 0.311
O 0.628 0.828 0.562
Nb 0.732 0.835 0.311
Tb 0.220 0.645 0.109
Tb 0.780 0.355 0.891
Nb 0.768 0.835 0.811
Nb 0.268 0.165 0.689
O 0.500 0.328 0.120
O 0.991 0.610 0.828
O 0.603 0.066 0.811
O 0.000 0.672 0.380
O 0.872 0.828 0.062
Tb 0.280 0.645 0.609
O 0.009 0.390 0.172
O 0.103 0.934 0.689
O 0.509 0.610 0.328
Tb 0.720 0.355 0.391
O 0.500 0.672 0.880
O 0.397 0.934 0.189
O 0.128 0.172 0.938

---

Record 7
TbNbO4: optimized geometry, GGA-PBE.

Summary:
Its MP2020-corrected energy is -110.92 eV/cell. As for the crystal system: tetragonal. The calculated formation energy comes out at -3.49 eV per atom.

a = 6.199 Å, b = 6.199 Å, c = 6.199 Å
α = 107.08°, β = 107.08°, γ = 114.36°
Atoms (fractional coordinates):
Tb 0.250 0.750 0.500
Nb 0.500 0.500 0.000
Nb 0.750 0.250 0.500
O 0.375 0.067 0.309
O 0.933 0.625 0.691
O 0.933 0.242 0.309
O 0.492 0.683 0.809
Tb 0.000 0.000 0.000
O 0.758 0.067 0.691
O 0.875 0.683 0.191
O 0.317 0.508 0.191
O 0.317 0.125 0.809

---

Record 8
TbNbO4: optimized geometry, GGA-PBE.

Summary:
Its MP2020-corrected energy is -111.87 eV/cell. As for the crystal system: monoclinic. The calculated formation energy comes out at -3.57 eV per atom.

a = 6.641 Å, b = 6.641 Å, c = 5.166 Å
α = 68.77°, β = 68.77°, γ = 114.43°
Atoms (fractional coordinates):
O 0.218 0.283 0.701
Tb 0.128 0.872 0.750
O 0.550 0.130 0.659
O 0.782 0.717 0.299
O 0.283 0.218 0.201
O 0.130 0.550 0.159
Tb 0.872 0.128 0.250
Nb 0.391 0.609 0.250
Nb 0.609 0.391 0.750
O 0.450 0.870 0.341
O 0.717 0.782 0.799
O 0.870 0.450 0.841